# K3HS2O8 (PBE-GGA, optimized geometry)
# E (MP2020)   -0.4416 Ry per atom
# E_form   -2.109 eV per atom
# E above lowest polymorph   6 meV per atom
# Calculated volume   14.90 Å³/atom
# VASP energy   -5.62 eV per atom
data_K3HS2O8
_chemical_formula_sum 'K6 H2 S4 O16'
_cell_length_a 9.755
_cell_length_b 5.837
_cell_length_c 7.804
_cell_angle_alpha 90.00
_cell_angle_beta 110.11
_cell_angle_gamma 90.00
_symmetry_space_group_name_H-M 'C 1 2/m 1'
_symmetry_Int_Tables_number 12
loop_
_symmetry_equiv_pos_as_xyz
'x,y,z'
'-x,-y,-z'
'-x,y,-z'
'x,-y,z'
'x+1/2,y+1/2,z'
'-x+1/2,-y+1/2,-z'
'-x+1/2,y+1/2,-z'
'x+1/2,-y+1/2,z'
loop_
_atom_site_label
_atom_site_type_symbol
_atom_site_fract_x
_atom_site_fract_y
_atom_site_fract_z
K1 K 0.000 0.000 0.000
K2 K 0.203 0.000 0.612
H1 H 0.000 0.500 0.000
S1 S 0.080 0.500 0.767
O1 O 0.007 0.290 0.300
O2 O 0.119 0.500 0.979
O3 O 0.218 0.500 0.729